Material: Na6CaSi6Sn7S6O48
Method: DFT, PBE
State: relaxed

Output
ρ: 3.339 g/cm³
Formation energy: -2305 meV/atom

a b c (Å): 17.9096 8.9211 23.0277
angles (deg): 89.97 90.18 119.89
Element x y z (fractional)
1 Na 0.6900 0.3834 0.2548
2 Na 0.9956 0.6529 0.2567
3 Na 0.9957 0.3534 0.7550
4 Na 0.4930 0.3575 0.7492
5 Na 0.1949 0.0191 0.7582
6 Na 0.6869 0.0088 0.7515
7 Na 0.9962 0.9976 0.4895
8 Na 0.5107 0.0051 0.4966
9 Na 0.0157 0.0259 0.9990
10 Na 0.5032 0.9839 0.9975
11 Na 0.3306 0.3375 0.8242
12 Na 0.8257 0.3179 0.8304
13 Na 0.3333 0.3329 0.3311
14 Na 0.8347 0.3375 0.3407
15 Na 0.1724 0.6665 0.1659
16 Na 0.6608 0.6648 0.1723
17 Na 0.1811 0.6646 0.6711
18 Na 0.6725 0.6665 0.6697
19 Ca 0.3337 0.3404 0.6849
20 Ca 0.8300 0.3315 0.6840
21 Ca 0.8333 0.3328 0.1842
22 Si 0.1499 0.0002 0.2522
23 Si 0.8541 0.7211 0.2497
24 Si 0.4982 0.2871 0.2492
25 Si 0.1441 0.2939 0.7507
26 Si 0.6467 0.2973 0.7537
27 Si 0.5007 0.7076 0.7521
28 Si 0.3529 0.9881 0.7534
29 Si 0.8575 0.9942 0.7526
30 Si 0.4763 0.6205 0.0845
31 Si 0.1840 0.3362 0.0866
32 Si 0.0188 0.3747 0.9164
33 Si 0.1694 0.9601 0.9179
34 Si 0.6626 0.9613 0.9162
35 Si 0.8139 0.9565 0.4147
36 Si 0.1680 0.3741 0.4153
37 Si 0.6645 0.3710 0.4173
38 Si 0.0203 0.6668 0.4180
39 Si 0.5197 0.6678 0.4138
40 Sn 0.0037 0.9938 0.3568
41 Sn 0.5020 0.0092 0.3559
42 Sn 0.0077 0.0175 0.8581
43 Sn 0.5033 0.9954 0.8506
44 Sn 0.9967 0.0064 0.6491
45 Sn 0.5003 0.0038 0.6558
46 Sn 0.0064 0.9972 0.1519
47 Sn 0.4979 0.9945 0.1474
48 Sn 0.3323 0.3335 0.1869
49 Sn 0.3240 0.3311 0.9851
50 Sn 0.8340 0.3232 0.9769
51 Sn 0.3358 0.3477 0.4780
52 Sn 0.8320 0.3298 0.4756
53 Sn 0.1635 0.6556 0.0166
54 Sn 0.6569 0.6699 0.0183
55 Sn 0.1627 0.6565 0.5131
56 Sn 0.6662 0.6734 0.5072
57 Sn 0.1636 0.6636 0.3189
58 Sn 0.6671 0.6596 0.3172
59 Sn 0.1685 0.6656 0.8173
60 Sn 0.6705 0.6793 0.8126
61 S 0.6416 0.9904 0.2500
62 S 0.3529 0.7103 0.2520
63 S 0.0050 0.2957 0.2514
64 S 0.0024 0.7183 0.7515
65 S 0.4852 0.3333 0.5806
66 S 0.9854 0.3347 0.5828
67 S 0.1816 0.0270 0.5814
68 S 0.6795 0.0259 0.5818
69 S 0.3335 0.6446 0.5807
70 S 0.8343 0.6403 0.5813
71 S 0.9812 0.6313 0.0806
72 S 0.3331 0.0369 0.0825
73 S 0.8337 0.0276 0.0809
74 S 0.6838 0.3359 0.0789
75 S 0.3164 0.6690 0.9184
76 S 0.8095 0.6648 0.9200
77 S 0.5180 0.3709 0.9178
78 S 0.3131 0.9610 0.4188
79 O 0.1062 0.0332 0.3080
80 O 0.5992 0.0156 0.3012
81 O 0.4060 0.7935 0.3037
82 O 0.9215 0.8111 0.3027
83 O 0.4800 0.1594 0.3050
84 O 0.9961 0.1942 0.3032
85 O 0.1024 0.1649 0.8060
86 O 0.6046 0.1744 0.8100
87 O 0.4836 0.7876 0.8099
88 O 0.9905 0.7966 0.8035
89 O 0.4139 0.0248 0.8104
90 O 0.9167 0.0145 0.8087
91 O 0.3905 0.9497 0.6928
92 O 0.8919 0.9547 0.6907
93 O 0.0823 0.2170 0.6908
94 O 0.5851 0.2254 0.6937
95 O 0.0162 0.8224 0.6968
96 O 0.5244 0.8335 0.6934
97 O 0.3909 0.8122 0.1974
98 O 0.8963 0.8332 0.1887
99 O 0.0146 0.2182 0.1966
100 O 0.5214 0.2012 0.1915
101 O 0.0864 0.9389 0.1939
102 O 0.5908 0.9664 0.1951
103 O 0.4489 0.3547 0.6345
104 O 0.9508 0.3540 0.6378
105 O 0.2280 0.0971 0.6358
106 O 0.7255 0.0945 0.6369
107 O 0.3176 0.5434 0.6328
108 O 0.8250 0.5469 0.6353
109 O 0.4337 0.5060 0.1419
110 O 0.9461 0.5359 0.1348
111 O 0.3201 0.1128 0.1355
112 O 0.8176 0.1006 0.1332
113 O 0.2447 0.3671 0.1429
114 O 0.7294 0.3604 0.1343
115 O 0.2195 0.2929 0.0269
116 O 0.7301 0.3116 0.0293
117 O 0.4206 0.5370 0.0247
118 O 0.9249 0.5375 0.0296
119 O 0.3486 0.1444 0.0300
120 O 0.8439 0.1372 0.0283
121 O 0.2260 0.1403 0.5302
122 O 0.7259 0.1403 0.5317
123 O 0.3440 0.5577 0.5279
124 O 0.8454 0.5517 0.5299
125 O 0.4265 0.3076 0.5293
126 O 0.9311 0.3193 0.5322
127 O 0.2755 0.6894 0.9713
128 O 0.7675 0.6893 0.9721
129 O 0.0786 0.4553 0.9734
130 O 0.5754 0.4498 0.9702
131 O 0.1598 0.8453 0.9755
132 O 0.6494 0.8466 0.9745
133 O 0.2743 0.8544 0.4714
134 O 0.7769 0.8452 0.4750
135 O 0.1561 0.4561 0.4759
136 O 0.6470 0.4543 0.4748
137 O 0.0830 0.7079 0.4744
138 O 0.5749 0.7117 0.4743
139 O 0.0573 0.6301 0.3573
140 O 0.5628 0.6361 0.3572
141 O 0.2608 0.8877 0.3656
142 O 0.7505 0.8730 0.3590
143 O 0.1926 0.5064 0.3597
144 O 0.6805 0.4710 0.3554
145 O 0.0605 0.4831 0.8562
146 O 0.5592 0.4752 0.8650
147 O 0.1839 0.8804 0.8572
148 O 0.6816 0.8804 0.8582
149 O 0.2638 0.6402 0.8652
150 O 0.7561 0.6322 0.8669
151 O 0.0128 0.8387 0.4160
152 O 0.4996 0.8282 0.4070
153 O 0.3985 0.9756 0.4137
154 O 0.9091 0.9813 0.4083
155 O 0.0804 0.1933 0.4092
156 O 0.5774 0.1794 0.4151
157 O 0.0031 0.1779 0.9165
158 O 0.5071 0.1957 0.9146
159 O 0.0784 0.9652 0.9147
160 O 0.5758 0.9780 0.9150
161 O 0.4011 0.8277 0.9151
162 O 0.8959 0.8167 0.9149
163 O 0.4931 0.1731 0.5823
164 O 0.9939 0.1745 0.5819
165 O 0.0923 0.0040 0.5840
166 O 0.5921 0.0117 0.5834
167 O 0.4126 0.8182 0.5834
168 O 0.9167 0.8170 0.5833
169 O 0.4895 0.8206 0.0901
170 O 0.9872 0.8039 0.0817
171 O 0.4116 0.0176 0.0873
172 O 0.9123 0.0151 0.0842
173 O 0.0856 0.1661 0.0934
174 O 0.5960 0.1793 0.0805
175 O 0.3425 0.1565 0.7484
176 O 0.8518 0.1699 0.7501
177 O 0.2361 0.3108 0.7461
178 O 0.7388 0.3105 0.7490
179 O 0.4248 0.5128 0.7488
180 O 0.9299 0.5422 0.7456
181 O 0.3452 0.5378 0.2480
182 O 0.8421 0.5262 0.2467
183 O 0.4133 0.3064 0.2422
184 O 0.9308 0.3246 0.2479
185 O 0.2437 0.1718 0.2439
186 O 0.7257 0.1498 0.2458
187 O 0.3271 0.5143 0.9221
188 O 0.8175 0.5071 0.9266
189 O 0.4342 0.3629 0.9251
190 O 0.9262 0.3732 0.9204
191 O 0.2568 0.1552 0.9235
192 O 0.7484 0.1549 0.9221
193 O 0.3226 0.1345 0.4259
194 O 0.8204 0.1458 0.4226
195 O 0.2522 0.3464 0.4217
196 O 0.7505 0.3542 0.4244
197 O 0.4264 0.4864 0.4212
198 O 0.9279 0.4916 0.4253
199 O 0.1779 0.5160 0.0800
200 O 0.6766 0.4940 0.0703
201 O 0.0688 0.6536 0.0749
202 O 0.5740 0.6424 0.0807
203 O 0.2564 0.8622 0.0765
204 O 0.7569 0.8502 0.0733
205 O 0.1748 0.8526 0.5744
206 O 0.6702 0.8504 0.5750
207 O 0.2564 0.6694 0.5729
208 O 0.7577 0.6633 0.5755
209 O 0.0742 0.4904 0.5780
210 O 0.5714 0.4899 0.5730
211 O 0.1573 0.8202 0.2588
212 O 0.6493 0.8351 0.2537
213 O 0.2668 0.6960 0.2560
214 O 0.7573 0.6991 0.2531
215 O 0.0855 0.4721 0.2532
216 O 0.5876 0.4735 0.2547
217 O 0.1430 0.4772 0.7569
218 O 0.6458 0.4789 0.7611
219 O 0.0844 0.7104 0.7543
220 O 0.5926 0.7063 0.7552
221 O 0.2550 0.8172 0.7571
222 O 0.7607 0.8274 0.7551



Material: DyInPt2
Method: DFT, PBE
State: relaxed

Output
ρ: 13.295 g/cm³
Formation energy: -822 meV/atom

a b c (Å): 4.7845 4.7845 8.4109
angles (deg): 90.00 90.00 120.00
Element x y z (fractional)
1 Dy 0.0000 0.0000 0.0000
2 Dy 0.0000 0.0000 0.5000
3 In 0.3333 0.6667 0.2500
4 In 0.6667 0.3333 0.7500
5 Pt 0.3333 0.6667 0.5905
6 Pt 0.6667 0.3333 0.4095
7 Pt 0.6667 0.3333 0.0905
8 Pt 0.3333 0.6667 0.9095



Material: CaLaMgAl2Si3HO13
Method: DFT, PBE
State: relaxed

Output
ρ: 3.822 g/cm³
Formation energy: -3321 meV/atom

a b c (Å): 5.7433 8.9922 10.1708
angles (deg): 65.59 90.00 90.00
Element x y z (fractional)
1 Ca 0.7500 0.2382 0.1522
2 Ca 0.2500 0.7618 0.8478
3 La 0.7500 0.4064 0.4280
4 La 0.2500 0.5936 0.5720
5 Mg 0.2500 0.7040 0.2092
6 Mg 0.7500 0.2960 0.7908
7 Al 0.0000 0.0000 0.0000
8 Al 0.5000 0.0000 0.0000
9 Al 0.0000 0.0000 0.5000
10 Al 0.5000 0.0000 0.5000
11 Si 0.7500 0.6635 0.0388
12 Si 0.2500 0.3365 0.9612
13 Si 0.2500 0.3137 0.2824
14 Si 0.7500 0.6863 0.7176
15 Si 0.7500 0.8147 0.3197
16 Si 0.2500 0.1853 0.6803
17 H 0.2500 0.9408 0.3179
18 H 0.7500 0.0592 0.6821
19 O 0.9924 0.7653 0.0327
20 O 0.4924 0.2347 0.9673
21 O 0.0076 0.2347 0.9673
22 O 0.5076 0.7653 0.0327
23 O 0.9746 0.6908 0.3593
24 O 0.4746 0.3092 0.6407
25 O 0.0254 0.3092 0.6407
26 O 0.5254 0.6908 0.3593
27 O 0.0114 0.2039 0.3413
28 O 0.5114 0.7961 0.6587
29 O 0.9886 0.7961 0.6587
30 O 0.4886 0.2039 0.3413
31 O 0.2500 0.9500 0.1253
32 O 0.7500 0.0500 0.8747
33 O 0.7500 0.9549 0.1491
34 O 0.2500 0.0451 0.8509
35 O 0.7500 0.9333 0.4098
36 O 0.2500 0.0667 0.5902
37 O 0.7500 0.4898 0.1776
38 O 0.2500 0.5102 0.8224
39 O 0.2500 0.4618 0.3318
40 O 0.7500 0.5382 0.6682
41 O 0.2500 0.3813 0.1043
42 O 0.7500 0.6187 0.8957
43 O 0.2500 0.9191 0.4227
44 O 0.7500 0.0809 0.5773



Material: Tm5Co4Si14
Method: DFT, PBE
State: relaxed

Output
ρ: 6.690 g/cm³
Formation energy: -613 meV/atom

a b c (Å): 7.7903 7.7122 12.3209
angles (deg): 81.18 90.00 90.00
Element x y z (fractional)
1 Tm 0.0000 0.0000 0.5000
2 Tm 0.5000 0.5000 0.5000
3 Tm 0.2518 0.1577 0.8649
4 Tm 0.7518 0.3423 0.1351
5 Tm 0.7482 0.8423 0.1351
6 Tm 0.2482 0.6577 0.8649
7 Tm 0.2489 0.8397 0.1348
8 Tm 0.7489 0.6603 0.8652
9 Tm 0.7511 0.1603 0.8652
10 Tm 0.2511 0.3397 0.1348
11 Co 0.3737 0.8727 0.4998
12 Co 0.8737 0.6273 0.5002
13 Co 0.6263 0.1273 0.5002
14 Co 0.1263 0.3727 0.4998
15 Co 0.9998 0.9390 0.7500
16 Co 0.4998 0.5610 0.2500
17 Co 0.0002 0.0610 0.2500
18 Co 0.5002 0.4390 0.7500
19 Si 0.6662 0.8340 0.4995
20 Si 0.1662 0.6660 0.5005
21 Si 0.3338 0.1660 0.5005
22 Si 0.8338 0.3340 0.4995
23 Si 0.7258 0.9613 0.6784
24 Si 0.2258 0.5387 0.3216
25 Si 0.2742 0.0387 0.3216
26 Si 0.7742 0.4613 0.6784
27 Si 0.9946 0.7686 0.3218
28 Si 0.4946 0.7314 0.6782
29 Si 0.0054 0.2314 0.6782
30 Si 0.5054 0.2686 0.3218
31 Si 0.2739 0.9500 0.6783
32 Si 0.7739 0.5500 0.3217
33 Si 0.7261 0.0500 0.3217
34 Si 0.2261 0.4500 0.6783
35 Si 0.9944 0.6813 0.6787
36 Si 0.4944 0.8187 0.3213
37 Si 0.0056 0.3187 0.3213
38 Si 0.5056 0.1813 0.6787
39 Si 0.4999 0.8890 0.9402
40 Si 0.9999 0.6110 0.0598
41 Si 0.5001 0.1110 0.0598
42 Si 0.0001 0.3890 0.9402
43 Si 0.0007 0.8906 0.9403
44 Si 0.5007 0.6094 0.0597
45 Si 0.9993 0.1094 0.0597
46 Si 0.4993 0.3906 0.9403



Material: Ho3Si12Ru4
Method: DFT, PBE
State: relaxed

Output
ρ: 6.719 g/cm³
Formation energy: -643 meV/atom

a b c (Å): 10.1010 10.1010 8.1297
angles (deg): 90.00 90.00 132.56
Element x y z (fractional)
1 Ho 0.5000 0.5000 0.5000
2 Ho 0.0000 0.0000 0.0000
3 Ho 0.5038 0.0038 0.7500
4 Ho 0.9962 0.4962 0.2500
5 Ho 0.4962 0.9962 0.2500
6 Ho 0.0038 0.5038 0.7500
7 Si 0.7952 0.2048 0.5000
8 Si 0.2952 0.7048 0.0000
9 Si 0.2048 0.7952 0.5000
10 Si 0.7048 0.2952 0.0000
11 Si 0.3333 0.3333 0.8334
12 Si 0.6667 0.6667 0.1666
13 Si 0.1667 0.1667 0.3334
14 Si 0.8333 0.8333 0.6666
15 Si 0.1233 0.8891 0.7287
16 Si 0.1109 0.8767 0.2713
17 Si 0.6109 0.3767 0.2287
18 Si 0.6233 0.3891 0.7713
19 Si 0.8767 0.1109 0.2713
20 Si 0.8891 0.1233 0.7287
21 Si 0.3891 0.6233 0.7713
22 Si 0.3767 0.6109 0.2287
23 Si 0.3465 0.1124 0.5071
24 Si 0.8876 0.6535 0.4929
25 Si 0.3876 0.1535 0.0071
26 Si 0.8465 0.6124 0.9929
27 Si 0.6535 0.8876 0.4929
28 Si 0.1124 0.3465 0.5071
29 Si 0.6124 0.8465 0.9929
30 Si 0.1535 0.3876 0.0071
31 Ru 0.6695 0.3305 0.5000
32 Ru 0.1695 0.8305 0.0000
33 Ru 0.3305 0.6695 0.5000
34 Ru 0.8305 0.1695 0.0000
35 Ru 0.1273 0.1273 0.6273
36 Ru 0.8727 0.8727 0.3727
37 Ru 0.3727 0.3727 0.1273
38 Ru 0.6273 0.6273 0.8727



Material: La7Ni16
Method: DFT, PBE
State: relaxed

Output
ρ: 8.172 g/cm³
Formation energy: -345 meV/atom

a b c (Å): 8.8898 8.8898 8.8898
angles (deg): 131.28 131.28 71.38
Element x y z (fractional)
1 La 0.0929 0.0929 0.3907
2 La 0.7023 0.7023 0.6093
3 La 0.9071 0.2977 0.0000
4 La 0.7500 0.2500 0.5000
5 La 0.5000 0.5000 0.0000
6 La 0.2977 0.9071 0.0000
7 La 0.2500 0.7500 0.5000
8 Ni 0.4319 0.1958 0.0000
9 Ni 0.6822 0.9335 0.4837
10 Ni 0.9335 0.6822 0.4837
11 Ni 0.1958 0.4319 0.0000
12 Ni 0.3178 0.8015 0.2513
13 Ni 0.9413 0.6614 0.0000
14 Ni 0.8042 0.8042 0.2361
15 Ni 0.0665 0.5502 0.7487
16 Ni 0.0587 0.0587 0.7201
17 Ni 0.6614 0.9413 0.0000
18 Ni 0.5681 0.5681 0.7639
19 Ni 0.8015 0.3178 0.2513
20 Ni 0.5502 0.0665 0.7487
21 Ni 0.1985 0.4498 0.5163
22 Ni 0.3386 0.3386 0.2799
23 Ni 0.4498 0.1985 0.5163



Material: ZnSn2O4
Method: DFT, PBE
State: relaxed

Output
ρ: 6.056 g/cm³
Formation energy: -1574 meV/atom
Energy above the most stable polymorph in this dataset: 206 meV per atom

a b c (Å): 6.5770 6.5770 6.5770
angles (deg): 60.00 60.00 60.00
Element x y z (fractional)
1 Zn 0.7500 0.7500 0.7500
2 Zn 0.5000 0.5000 0.5000
3 Sn 0.1250 0.1250 0.6250
4 Sn 0.6250 0.1250 0.1250
5 Sn 0.1250 0.1250 0.1250
6 Sn 0.1250 0.6250 0.1250
7 O 0.8890 0.3703 0.3703
8 O 0.3703 0.3703 0.8890
9 O 0.3703 0.3703 0.3703
10 O 0.3610 0.8797 0.8797
11 O 0.8797 0.3610 0.8797
12 O 0.8797 0.8797 0.3610
13 O 0.3703 0.8890 0.3703
14 O 0.8797 0.8797 0.8797



| no. | calculated total energy (eV per atom) |
| --- | --- |
| 1 | -6.36 |
| 2 | -5.70 |
| 3 | -7.46 |
| 4 | -6.17 |
| 5 | -6.75 |
| 6 | -5.87 |
| 7 | -5.33 |